Entry 1:
{"formula": "Li2V5CoO12", "functional": "GGA+U", "state": "optimized geometry", "formation_enthalpy_0k_ev_per_atom": -2.29, "energy_mp2020_ev_per_atom": -8.08, "magmom_total_mub_per_fu": 8.0, "cell": [[6.914, -0.233, -0.065], [-0.968, 6.849, 0.065], [-1.540, 1.384, 5.311]], "species": ["O", "O", "V", "V", "O", "O", "O", "O", "Li", "O", "Co", "O", "O", "O", "O", "O", "V", "V", "V", "Li"], "fractional_positions": [[0.669, 0.374, 0.922], [0.192, 0.997, 0.148], [0.921, 0.921, 0.250], [0.195, 0.613, 0.758], [0.595, 0.316, 0.420], [0.316, 0.595, 0.080], [0.655, 0.895, 0.320], [0.065, 0.380, 0.743], [0.271, 0.271, 0.250], [0.380, 0.065, 0.757], [0.089, 0.089, 0.750], [0.022, 0.798, 0.650], [0.374, 0.669, 0.578], [0.798, 0.022, 0.850], [0.997, 0.192, 0.352], [0.895, 0.655, 0.180], [0.613, 0.195, 0.742], [0.818, 0.389, 0.258], [0.389, 0.818, 0.242], [0.745, 0.745, 0.750]]}

Entry 2:
{"formula": "Li3V3CoO8", "functional": "GGA+U", "state": "optimized geometry", "relative_energy_mev_per_atom": 3, "formation_enthalpy_0k_ev_per_atom": -2.27, "energy_mp2020_ev_per_atom": -7.58, "magmom_total_mub_per_fu": 5.0, "cell": [[-4.727, 0.887, 3.381], [-0.181, -2.057, 5.505], [0.329, 3.794, 4.554]], "species": ["O", "Li", "Li", "O", "O", "Co", "O", "V", "V", "O", "V", "O", "Li", "O", "O"], "fractional_positions": [[0.770, 0.770, 0.713], [0.500, 0.000, 0.000], [0.000, 0.000, 0.000], [0.230, 0.230, 0.287], [0.254, 0.763, 0.716], [0.000, 0.000, 0.500], [0.739, 0.739, 0.270], [0.500, 0.000, 0.500], [0.500, 0.500, 0.500], [0.261, 0.261, 0.730], [0.000, 0.500, 0.500], [0.746, 0.237, 0.284], [0.000, 0.500, 0.000], [0.237, 0.746, 0.284], [0.763, 0.254, 0.716]]}

Entry 3:
{"formula": "Li2V3CoO8", "functional": "GGA+U", "state": "optimized geometry", "relative_energy_mev_per_atom": 128, "formation_enthalpy_0k_ev_per_atom": -2.30, "energy_mp2020_ev_per_atom": -7.85, "magmom_total_mub_per_fu": 0.7, "cell": [[3.446, -0.709, 4.700], [-4.767, -1.776, 3.160], [1.340, -7.795, -2.331]], "species": ["Li", "O", "V", "O", "O", "O", "Co", "Li", "O", "V", "O", "V", "O", "O", "O", "V", "V", "O", "Li", "O", "V", "Li", "O", "O", "O", "O", "O", "Co"], "fractional_positions": [[0.253, 0.501, 0.376], [0.020, 0.513, 0.765], [0.250, 0.250, 0.750], [0.515, 0.990, 0.267], [0.752, 0.217, 0.496], [0.250, 0.283, 0.995], [0.000, 0.997, 0.501], [0.247, 0.999, 0.124], [0.985, 0.510, 0.233], [0.750, 0.750, 0.250], [0.480, 0.987, 0.735], [0.500, 0.001, 0.499], [0.531, 0.510, 0.239], [0.250, 0.217, 0.505], [0.748, 0.723, 0.011], [0.000, 0.499, 0.001], [0.750, 0.250, 0.250], [0.474, 0.508, 0.763], [0.753, 0.999, 0.875], [0.752, 0.777, 0.489], [0.250, 0.750, 0.750], [0.747, 0.501, 0.625], [0.259, 0.722, 0.989], [0.027, 0.992, 0.737], [0.241, 0.778, 0.511], [0.748, 0.283, 0.005], [0.969, 0.990, 0.261], [0.500, 0.503, 0.999]]}

Entry 4:
{"formula": "Li2V3CoO8", "functional": "GGA+U", "state": "optimized geometry", "relative_energy_mev_per_atom": 99, "formation_enthalpy_0k_ev_per_atom": -2.33, "energy_mp2020_ev_per_atom": -7.88, "magmom_total_mub_per_fu": 6.0, "cell": [[8.436, 0.000, -0.001], [0.000, 8.392, -0.004], [-0.001, -0.004, 8.404]], "species": ["O", "O", "O", "Li", "O", "Li", "V", "V", "Co", "O", "O", "Li", "O", "Li", "V", "Li", "V", "O", "O", "O", "O", "O", "O", "Co", "Li", "O", "O", "Li", "O", "O", "O", "O", "O", "V", "V", "V", "O", "O", "Co", "O", "V", "O", "O", "O", "O", "O", "O", "V", "V", "Li", "Co", "O", "O", "V", "O", "V"], "fractional_positions": [[0.605, 0.366, 0.602], [0.859, 0.121, 0.144], [0.102, 0.894, 0.631], [0.253, 0.752, 0.747], [0.379, 0.856, 0.357], [0.627, 0.625, 0.626], [0.623, 0.873, 0.875], [0.877, 0.617, 0.877], [0.998, 0.500, 0.499], [0.866, 0.859, 0.865], [0.395, 0.869, 0.897], [0.125, 0.875, 0.375], [0.622, 0.356, 0.142], [0.749, 0.248, 0.749], [0.378, 0.878, 0.121], [0.872, 0.375, 0.128], [0.623, 0.123, 0.121], [0.614, 0.884, 0.115], [0.636, 0.135, 0.363], [0.363, 0.377, 0.856], [0.643, 0.883, 0.645], [0.121, 0.143, 0.857], [0.355, 0.144, 0.618], [0.501, 0.498, 0.001], [0.251, 0.249, 0.252], [0.898, 0.633, 0.108], [0.114, 0.616, 0.884], [0.750, 0.749, 0.250], [0.855, 0.358, 0.380], [0.143, 0.858, 0.120], [0.134, 0.368, 0.642], [0.642, 0.644, 0.879], [0.875, 0.645, 0.636], [0.378, 0.378, 0.625], [0.623, 0.377, 0.378], [0.121, 0.629, 0.125], [0.397, 0.105, 0.135], [0.886, 0.115, 0.615], [0.499, 0.000, 0.500], [0.144, 0.618, 0.356], [0.123, 0.123, 0.625], [0.890, 0.400, 0.868], [0.364, 0.635, 0.135], [0.634, 0.101, 0.897], [0.134, 0.394, 0.099], [0.601, 0.605, 0.367], [0.386, 0.385, 0.385], [0.127, 0.379, 0.881], [0.879, 0.874, 0.621], [0.374, 0.126, 0.875], [0.998, 0.001, 0.001], [0.369, 0.602, 0.606], [0.866, 0.898, 0.394], [0.878, 0.123, 0.377], [0.105, 0.134, 0.399], [0.378, 0.624, 0.377]]}

Entry 5:
{"formula": "Li2V3CoO8", "functional": "GGA+U", "state": "optimized geometry", "relative_energy_mev_per_atom": 0, "formation_enthalpy_0k_ev_per_atom": -2.43, "energy_mp2020_ev_per_atom": -7.98, "magmom_total_mub_per_fu": 0.1, "cell": [[-2.911, -5.107, 0.069], [-2.999, 1.687, 4.867], [-5.819, 3.470, -4.792]], "species": ["Li", "O", "O", "Co", "V", "O", "Li", "O", "O", "O", "Co", "O", "V", "O", "Li", "V", "O", "O", "O", "O", "V", "V", "O", "O", "Li", "O", "V", "O"], "fractional_positions": [[0.749, 0.001, 0.877], [0.023, 0.497, 0.767], [0.022, 0.002, 0.738], [0.998, 0.998, 0.501], [0.755, 0.251, 0.249], [0.763, 0.771, 0.485], [0.245, 0.999, 0.122], [0.986, 0.515, 0.231], [0.528, 0.507, 0.234], [0.980, 0.992, 0.265], [0.502, 0.500, 0.998], [0.255, 0.282, 0.989], [0.246, 0.749, 0.750], [0.247, 0.770, 0.523], [0.751, 0.497, 0.624], [0.250, 0.247, 0.750], [0.743, 0.720, 0.007], [0.471, 0.495, 0.762], [0.467, 0.004, 0.749], [0.754, 0.222, 0.491], [0.998, 0.500, 0.006], [0.740, 0.760, 0.249], [0.238, 0.225, 0.517], [0.753, 0.281, 0.005], [0.255, 0.501, 0.376], [0.524, 0.989, 0.253], [0.504, 0.001, 0.502], [0.252, 0.724, 0.981]]}

Entry 6:
{"formula": "Li2V3CoO8", "functional": "GGA+U", "state": "optimized geometry", "relative_energy_mev_per_atom": 221, "formation_enthalpy_0k_ev_per_atom": -2.21, "energy_mp2020_ev_per_atom": -7.76, "magmom_total_mub_per_fu": 4.0, "cell": [[2.001, 6.077, 0.000], [-2.001, 6.077, 0.000], [0.000, 1.885, 6.250]], "species": ["O", "V", "O", "O", "Li", "V", "O", "O", "O", "V", "O", "O", "Co", "Li"], "fractional_positions": [[0.655, 0.655, 0.989], [0.389, 0.389, 0.722], [0.879, 0.879, 0.671], [0.759, 0.759, 0.363], [0.060, 0.060, 0.637], [0.608, 0.608, 0.298], [0.355, 0.355, 0.990], [0.560, 0.560, 0.640], [0.452, 0.452, 0.353], [0.709, 0.709, 0.712], [0.112, 0.112, 0.316], [0.234, 0.234, 0.662], [0.289, 0.289, 0.301], [0.940, 0.940, 0.346]]}